# Tb7NiI12 (PBE, optimized geometry)
# VASP energy, eV per formula unit: -80.89
# Calculated formation energy, eV per atom: -1.447
data_Tb7NiI12
_cell_length_a 15.6473
_cell_length_b 15.6473
_cell_length_c 10.6510
_cell_angle_alpha 90.00
_cell_angle_beta 90.00
_cell_angle_gamma 120.00
_space_group_name_H-M_alt 'R -3'
_space_group_IT_number 148
_space_group_name_Hall '-R 3'
loop_
_atom_site_label
_atom_site_type_symbol
_atom_site_fract_x
_atom_site_fract_y
_atom_site_fract_z
_atom_site_occupancy
Tb1 Tb 0.0000 0.0000 0.0000 1
Tb2 Tb 0.0436 0.1557 0.3567 1
Ni1 Ni 0.0000 0.0000 0.5000 1
I1 I 0.0190 0.5860 0.1614 1
I2 I 0.0521 0.1843 0.8397 1

# HoFe6Ge6 (PBE, optimized geometry)
# VASP energy, eV per formula unit: -86.77
# Calculated formation energy, eV per atom: -0.279
data_HoFe6Ge6
_cell_length_a 8.128
_cell_length_b 17.690
_cell_length_c 5.110
_cell_angle_alpha 90.00
_cell_angle_beta 90.00
_cell_angle_gamma 90.00
_space_group_name_H-M_alt 'C m c m'
_space_group_IT_number 63
_space_group_name_Hall '-C 2c 2'
loop_
_atom_site_label
_atom_site_type_symbol
_atom_site_fract_x
_atom_site_fract_y
_atom_site_fract_z
_atom_site_occupancy
Ho1 Ho 0.000 0.126 0.250 1
Fe1 Fe 0.249 0.375 0.250 1
Fe2 Fe 0.250 0.000 0.000 1
Fe3 Fe 0.250 0.250 0.000 1
Ge1 Ge 0.000 0.042 0.750 1
Ge2 Ge 0.000 0.211 0.750 1
Ge3 Ge 0.000 0.295 0.250 1
Ge4 Ge 0.000 0.458 0.250 1
Ge5 Ge 0.154 0.376 0.750 1

# Sm2EuBeO5 (PBE, optimized geometry)
# VASP energy, eV per formula unit: -76.51
# Calculated formation energy, eV per atom: -3.530
data_Sm2EuBeO5
_cell_length_a 7.215
_cell_length_b 6.565
_cell_length_c 9.540
_cell_angle_alpha 90.00
_cell_angle_beta 90.39
_cell_angle_gamma 90.00
_space_group_name_H-M_alt 'P 1 21/c 1'
_space_group_IT_number 14
loop_
_space_group_symop_operation_xyz
'x,y,z'
'-x,-y,-z'
'-x,y+1/2,-z+1/2'
'x,-y+1/2,z+1/2'
loop_
_atom_site_label
_atom_site_type_symbol
_atom_site_fract_x
_atom_site_fract_y
_atom_site_fract_z
_atom_site_occupancy
Sm1 Sm 0.022 0.081 0.176 1
Sm2 Sm 0.250 0.595 0.022 1
Eu1 Eu 0.479 0.080 0.173 1
Be1 Be 0.246 0.193 0.900 1
O1 O 0.057 0.183 0.431 1
O2 O 0.227 0.666 0.779 1
O3 O 0.232 0.521 0.491 1
O4 O 0.233 0.134 0.726 1
O5 O 0.440 0.193 0.433 1

# TiRe2Mo (PBE, optimized geometry)
# Energy above the lowest structure with this stoichiometry, eV/f.u.: 0.00
# VASP energy, eV per formula unit: -44.78
# Calculated formation energy, eV per atom: -0.288
data_TiRe2Mo
_cell_length_a 6.256
_cell_length_b 6.256
_cell_length_c 6.256
_cell_angle_alpha 90.00
_cell_angle_beta 90.00
_cell_angle_gamma 90.00
_space_group_name_H-M_alt 'F m -3 m'
_space_group_IT_number 225
_space_group_name_Hall '-F 4 2 3'
loop_
_atom_site_label
_atom_site_type_symbol
_atom_site_fract_x
_atom_site_fract_y
_atom_site_fract_z
_atom_site_occupancy
Ti1 Ti 0.000 0.000 0.000 1
Re1 Re 0.250 0.250 0.250 1
Mo1 Mo 0.000 0.000 0.500 1

# BaSrI4 (PBE, optimized geometry)
# VASP energy, eV per formula unit: -19.81
# Calculated formation energy, eV per atom: -1.937
data_BaSrI4
_cell_length_a 6.361
_cell_length_b 23.577
_cell_length_c 8.301
_cell_angle_alpha 90.00
_cell_angle_beta 90.00
_cell_angle_gamma 90.00
_space_group_name_H-M_alt 'C m c 21'
_space_group_IT_number 36
loop_
_space_group_symop_operation_xyz
'x,y,z'
'-x,-y,z+1/2'
'-x,y,z'
'x,-y,z+1/2'
'x+1/2,y+1/2,z'
'-x+1/2,-y+1/2,z+1/2'
'-x+1/2,y+1/2,z'
'x+1/2,-y+1/2,z+1/2'
loop_
_atom_site_label
_atom_site_type_symbol
_atom_site_fract_x
_atom_site_fract_y
_atom_site_fract_z
_atom_site_occupancy
Ba1 Ba 0.000 0.188 0.000 1
Sr1 Sr 0.000 0.415 0.902 1
I1 I 0.000 0.099 0.347 1
I2 I 0.000 0.290 0.693 1
I3 I 0.000 0.322 0.207 1
I4 I 0.000 0.455 0.521 1

# LiPm2Ge (PBE, optimized geometry)
# VASP energy, eV per formula unit: -17.74
# Calculated formation energy, eV per atom: -0.427
data_LiPm2Ge
_cell_length_a 7.295
_cell_length_b 7.295
_cell_length_c 7.295
_cell_angle_alpha 90.00
_cell_angle_beta 90.00
_cell_angle_gamma 90.00
_space_group_name_H-M_alt 'F m -3 m'
_space_group_IT_number 225
_space_group_name_Hall '-F 4 2 3'
loop_
_atom_site_label
_atom_site_type_symbol
_atom_site_fract_x
_atom_site_fract_y
_atom_site_fract_z
_atom_site_occupancy
Li1 Li 0.000 0.000 0.000 1
Pm1 Pm 0.250 0.250 0.250 1
Ge1 Ge 0.000 0.000 0.500 1